Entry 1:
Crystalline Dy2Ge6Pd at its relaxed geometry, computed with PBE.

Summary:
The value obtained for the volume is 20.4 Å³ per atom. The value obtained for the formation energy is -0.506 eV/atom. As for the magnetic moment: 0.02 μB/cell.

The structure in CIF format:
```
data_Dy2Ge6Pd
_chemical_formula_sum 'Dy4 Ge12 Pd2'
_cell_length_a 4.1016
_cell_length_b 4.0799
_cell_length_c 21.8918
_cell_angle_alpha 90.00
_cell_angle_beta 90.00
_cell_angle_gamma 90.00
_symmetry_space_group_name_H-M 'A m m 2'
_symmetry_Int_Tables_number 38
_symmetry_space_group_name_Hall 'A 2 -2'
loop_
_atom_site_label
_atom_site_type_symbol
_atom_site_fract_x
_atom_site_fract_y
_atom_site_fract_z
Dy1 Dy 0.0000 0.0000 0.0000
Dy2 Dy 0.0000 0.0000 0.3370
Ge1 Ge 0.0000 0.0000 0.6006
Ge2 Ge 0.0000 0.0000 0.7146
Ge3 Ge 0.5000 0.0000 0.0996
Ge4 Ge 0.5000 0.0000 0.2137
Ge5 Ge 0.5000 0.0000 0.4604
Ge6 Ge 0.5000 0.0000 0.8905
Pd1 Pd 0.5000 0.0000 0.7801
```


Entry 2:
Crystalline DyGe2Pt2 at its relaxed geometry, computed with PBE.

Summary:
The value obtained for the volume is 18.7 Å³ per atom. The value obtained for the formation energy is -0.861 eV/atom.

The structure in CIF format:
```
data_DyGe2Pt2
_chemical_formula_sum 'Dy2 Ge4 Pt4'
_cell_length_a 4.1788
_cell_length_b 4.1788
_cell_length_c 10.6996
_cell_angle_alpha 90.00
_cell_angle_beta 90.00
_cell_angle_gamma 90.00
_symmetry_space_group_name_H-M 'P 4/n m m'
_symmetry_Int_Tables_number 129
loop_
_symmetry_equiv_pos_as_xyz
'x,y,z'
'-x,-y,-z'
'-y+1/2,x,z'
'y+1/2,-x,-z'
'-x+1/2,-y+1/2,z'
'x+1/2,y+1/2,-z'
'y,-x+1/2,z'
'-y,x+1/2,-z'
'x+1/2,-y,-z'
'-x+1/2,y,z'
'-y,-x,-z'
'y,x,z'
'-x,y+1/2,-z'
'x,-y+1/2,z'
'y+1/2,x+1/2,-z'
'-y+1/2,-x+1/2,z'
loop_
_atom_site_label
_atom_site_type_symbol
_atom_site_fract_x
_atom_site_fract_y
_atom_site_fract_z
Dy1 Dy 0.2500 0.2500 0.2423
Ge1 Ge 0.2500 0.2500 0.8620
Ge2 Ge 0.2500 0.7500 0.5000
Pt1 Pt 0.2500 0.2500 0.6349
Pt2 Pt 0.2500 0.7500 0.0000
```


Entry 3:
Crystalline DyGe2Pt at its relaxed geometry, computed with PBE.

Summary:
The value obtained for the volume is 19.6 Å³ per atom. The value obtained for the formation energy is -0.865 eV/atom.

The structure in CIF format:
```
data_DyGe2Pt
_chemical_formula_sum 'Dy8 Ge16 Pt8'
_cell_length_a 4.3508
_cell_length_b 8.8062
_cell_length_c 16.3806
_cell_angle_alpha 90.00
_cell_angle_beta 90.00
_cell_angle_gamma 90.00
_symmetry_space_group_name_H-M 'I m m m'
_symmetry_Int_Tables_number 71
_symmetry_space_group_name_Hall '-I 2 2'
loop_
_atom_site_label
_atom_site_type_symbol
_atom_site_fract_x
_atom_site_fract_y
_atom_site_fract_z
Dy1 Dy 0.0000 0.0000 0.2027
Dy2 Dy 0.0000 0.2200 0.0000
Ge1 Ge 0.0000 0.0000 0.4254
Ge2 Ge 0.0000 0.3485 0.1991
Ge3 Ge 0.0000 0.5000 0.4250
Pt1 Pt 0.0000 0.2487 0.3521
```